[1]
Here is Na4Ca4Be4AlSi7O24F4 after structural relaxation from the Materials Project. Energies are from PBE-GGA.

a = 10.632 Å, b = 10.632 Å, c = 10.026 Å
α = 90.00°, β = 90.00°, γ = 90.00°
Space group I-4 (No. 82)
Asymmetric unit:
Na 0.087 0.261 0.001 [8 per cell]
Ca 0.091 0.245 0.506 [8 per cell]
Be 0.107 0.749 0.722 [8 per cell]
Al 0.000 0.500 0.250 [2 per cell]
Si 0.000 0.000 0.256 [4 per cell]
Si 0.000 0.500 0.750 [2 per cell]
Si 0.113 0.754 0.224 [8 per cell]
O 0.031 0.626 0.660 [8 per cell]
O 0.038 0.879 0.159 [8 per cell]
O 0.041 0.877 0.656 [8 per cell]
O 0.048 0.630 0.152 [8 per cell]
O 0.104 0.755 0.385 [8 per cell]
O 0.245 0.254 0.838 [8 per cell]
F 0.108 0.747 0.880 [8 per cell]

[2]
Here is Ca8Be5Al3Si18H4O56 after structural relaxation from the Materials Project. Energies are from PBE-GGA.

a = 5.052 Å, b = 12.008 Å, c = 19.655 Å
α = 90.00°, β = 89.73°, γ = 77.86°
Space group P1 (No. 1)
Asymmetric unit:
Ca 0.000 0.000 0.000 [1 per cell]
Ca 0.000 0.001 0.807 [1 per cell]
Ca 0.333 0.333 0.499 [1 per cell]
Ca 0.349 0.335 0.305 [1 per cell]
Ca 0.494 0.008 0.495 [1 per cell]
Ca 0.515 0.002 0.304 [1 per cell]
Ca 0.831 0.338 0.802 [1 per cell]
Ca 0.832 0.337 0.999 [1 per cell]
Be 0.366 0.418 0.901 [1 per cell]
Be 0.616 0.919 0.901 [1 per cell]
Be 0.732 0.417 0.401 [1 per cell]
Be 0.972 0.169 0.548 [1 per cell]
Be 0.979 0.921 0.401 [1 per cell]
Al 0.076 0.357 0.649 [1 per cell]
Al 0.079 0.359 0.151 [1 per cell]
Al 0.270 0.978 0.151 [1 per cell]
Si 0.027 0.742 0.506 [1 per cell]
Si 0.029 0.741 0.294 [1 per cell]
Si 0.264 0.984 0.649 [1 per cell]
Si 0.320 0.596 0.008 [1 per cell]
Si 0.321 0.596 0.794 [1 per cell]
Si 0.397 0.168 0.754 [1 per cell]
Si 0.397 0.169 0.046 [1 per cell]
Si 0.456 0.168 0.900 [1 per cell]
Si 0.505 0.509 0.151 [1 per cell]
Si 0.507 0.507 0.651 [1 per cell]
Si 0.601 0.595 0.508 [1 per cell]
Si 0.601 0.596 0.294 [1 per cell]
Si 0.748 0.741 0.008 [1 per cell]
Si 0.749 0.741 0.795 [1 per cell]
Si 0.845 0.829 0.151 [1 per cell]
Si 0.846 0.830 0.651 [1 per cell]
Si 0.899 0.168 0.404 [1 per cell]
Si 0.950 0.169 0.257 [1 per cell]
H 0.077 0.491 0.401 [1 per cell]
H 0.272 0.846 0.901 [1 per cell]
H 0.399 0.846 0.400 [1 per cell]
H 0.949 0.491 0.901 [1 per cell]
O 0.001 0.636 0.816 [1 per cell]
O 0.001 0.636 0.986 [1 per cell]
O 0.005 0.756 0.590 [1 per cell]
O 0.017 0.752 0.211 [1 per cell]
O 0.018 0.283 0.223 [1 per cell]
O 0.027 0.281 0.578 [1 per cell]
O 0.036 0.906 0.114 [1 per cell]
O 0.045 0.410 0.901 [1 per cell]
O 0.053 0.909 0.683 [1 per cell]
O 0.060 0.411 0.400 [1 per cell]
O 0.097 0.168 0.334 [1 per cell]
O 0.104 0.163 0.468 [1 per cell]
O 0.133 0.054 0.223 [1 per cell]
O 0.141 0.052 0.583 [1 per cell]
O 0.213 0.283 0.723 [1 per cell]
O 0.215 0.284 0.078 [1 per cell]
O 0.250 0.168 0.967 [1 per cell]
O 0.254 0.163 0.833 [1 per cell]
O 0.287 0.926 0.901 [1 per cell]
O 0.302 0.926 0.401 [1 per cell]
O 0.313 0.431 0.187 [1 per cell]
O 0.313 0.432 0.616 [1 per cell]
O 0.326 0.052 0.718 [1 per cell]
O 0.330 0.053 0.078 [1 per cell]
O 0.333 0.585 0.091 [1 per cell]
O 0.335 0.587 0.711 [1 per cell]
O 0.348 0.701 0.316 [1 per cell]
O 0.349 0.702 0.487 [1 per cell]
O 0.452 0.477 0.970 [1 per cell]
O 0.452 0.478 0.831 [1 per cell]
O 0.468 0.702 0.816 [1 per cell]
O 0.469 0.701 0.986 [1 per cell]
O 0.561 0.909 0.622 [1 per cell]
O 0.568 0.286 0.900 [1 per cell]
O 0.575 0.906 0.187 [1 per cell]
O 0.585 0.478 0.470 [1 per cell]
O 0.588 0.477 0.331 [1 per cell]
O 0.600 0.586 0.591 [1 per cell]
O 0.601 0.585 0.211 [1 per cell]
O 0.634 0.168 0.264 [1 per cell]
O 0.655 0.167 0.533 [1 per cell]
O 0.662 0.285 0.401 [1 per cell]
O 0.689 0.050 0.901 [1 per cell]
O 0.712 0.163 0.763 [1 per cell]
O 0.712 0.169 0.036 [1 per cell]
O 0.749 0.752 0.091 [1 per cell]
O 0.760 0.859 0.970 [1 per cell]
O 0.761 0.755 0.712 [1 per cell]
O 0.761 0.861 0.831 [1 per cell]
O 0.774 0.431 0.114 [1 per cell]
O 0.775 0.432 0.689 [1 per cell]
O 0.776 0.052 0.401 [1 per cell]
O 0.880 0.636 0.316 [1 per cell]
O 0.881 0.636 0.486 [1 per cell]
O 0.893 0.861 0.471 [1 per cell]
O 0.896 0.860 0.331 [1 per cell]

[3]
Here is Ca4Be3AlSi9H3O28 after structural relaxation from the Materials Project. Energies are from PBE-GGA.

a = 5.035 Å, b = 23.501 Å, c = 19.687 Å
α = 90.00°, β = 90.47°, γ = 90.00°
Space group C2/m (No. 12)
Asymmetric unit:
Ca 0.238 0.081 0.157 [8 per cell]
Ca 0.243 0.417 0.652 [8 per cell]
Be 0.177 0.376 0.250 [8 per cell]
Be 0.198 0.000 0.897 [4 per cell]
Al 0.000 0.095 0.500 [4 per cell]
Si 0.000 0.091 0.000 [4 per cell]
Si 0.000 0.330 0.500 [4 per cell]
Si 0.000 0.332 0.000 [4 per cell]
Si 0.130 0.287 0.144 [8 per cell]
Si 0.132 0.286 0.357 [8 per cell]
Si 0.223 0.000 0.606 [4 per cell]
Si 0.226 0.500 0.247 [4 per cell]
H 0.064 0.160 0.251 [8 per cell]
H 0.108 0.500 0.936 [4 per cell]
O 0.003 0.120 0.250 [8 per cell]
O 0.026 0.500 0.891 [4 per cell]
O 0.040 0.500 0.613 [4 per cell]
O 0.043 0.442 0.249 [8 per cell]
O 0.058 0.346 0.180 [8 per cell]
O 0.062 0.346 0.319 [8 per cell]
O 0.068 0.234 0.836 [8 per cell]
O 0.069 0.234 0.665 [8 per cell]
O 0.071 0.000 0.818 [4 per cell]
O 0.078 0.000 0.684 [4 per cell]
O 0.084 0.057 0.932 [8 per cell]
O 0.096 0.057 0.573 [8 per cell]
O 0.116 0.293 0.061 [8 per cell]
O 0.128 0.292 0.440 [8 per cell]
O 0.231 0.369 0.536 [8 per cell]
O 0.246 0.370 0.970 [8 per cell]

[4]
Here is KCa2Be2AlSi12O30 after structural relaxation from the Materials Project. Energies are from PBE-GGA.

a = 10.485 Å, b = 18.148 Å, c = 14.095 Å
α = 90.00°, β = 90.00°, γ = 90.00°
Space group Ccc2 (No. 37)
Asymmetric unit:
K 0.000 0.000 0.000 [4 per cell]
Ca 0.012 0.338 0.000 [8 per cell]
Be 0.000 0.500 0.000 [4 per cell]
Be 0.250 0.250 0.001 [4 per cell]
Al 0.250 0.250 0.500 [4 per cell]
Si 0.086 0.168 0.642 [8 per cell]
Si 0.088 0.171 0.864 [8 per cell]
Si 0.199 0.458 0.639 [8 per cell]
Si 0.204 0.459 0.861 [8 per cell]
Si 0.208 0.126 0.137 [8 per cell]
Si 0.208 0.126 0.358 [8 per cell]
O 0.054 0.134 0.119 [8 per cell]
O 0.059 0.142 0.384 [8 per cell]
O 0.081 0.443 0.568 [8 per cell]
O 0.086 0.445 0.932 [8 per cell]
O 0.096 0.196 0.752 [8 per cell]
O 0.114 0.238 0.573 [8 per cell]
O 0.123 0.238 0.933 [8 per cell]
O 0.158 0.452 0.750 [8 per cell]
O 0.178 0.099 0.881 [8 per cell]
O 0.187 0.102 0.618 [8 per cell]
O 0.201 0.324 0.427 [8 per cell]
O 0.211 0.321 0.068 [8 per cell]
O 0.229 0.039 0.380 [8 per cell]
O 0.235 0.039 0.118 [8 per cell]
O 0.241 0.145 0.248 [8 per cell]

[5]
Here is Ca4Be2Al2Si9O28 after structural relaxation from the Materials Project. Energies are from PBE-GGA.

a = 23.505 Å, b = 5.088 Å, c = 19.693 Å
α = 90.00°, β = 90.00°, γ = 90.00°
Space group Cmcm (No. 63)
Asymmetric unit:
Ca 0.085 0.238 0.152 [16 per cell]
Be 0.126 0.182 0.750 [8 per cell]
Al 0.095 0.500 0.000 [8 per cell]
Si 0.000 0.223 0.750 [4 per cell]
Si 0.000 0.279 0.605 [8 per cell]
Si 0.170 0.000 0.000 [8 per cell]
Si 0.214 0.140 0.643 [16 per cell]
O 0.000 0.034 0.115 [8 per cell]
O 0.000 0.426 0.683 [8 per cell]
O 0.057 0.403 0.572 [16 per cell]
O 0.059 0.051 0.750 [8 per cell]
O 0.112 0.496 0.750 [8 per cell]
O 0.131 0.230 0.036 [16 per cell]
O 0.155 0.071 0.680 [16 per cell]
O 0.208 0.132 0.560 [16 per cell]
O 0.234 0.437 0.664 [16 per cell]

no.,calculated formation energy (meV/atom)
1,-3244
2,-3193
3,-3155
4,-3291
5,-3249